(1)
A plane-wave DFT calculation with PBE-GGA was carried out for a relaxed structure of MnTe4H18N6.

Properties
M_tot = 1.04 μB per formula unit
ρ = 2.617 Mg/m³
Formation energy from the elements = -0.332 eV/atom
DFT total energy = -140.28 eV/f.u.

```
MnTe4H18N6
1.0
18.656 0.000 0.000
0.000 9.076 0.000
0.000 7.799 10.006
Mn Te H N
4 16 72 24
Cartesian
15.744 8.403 2.063
12.240 12.302 7.066
2.912 8.471 7.942
6.416 4.572 2.939
12.454 2.940 1.814
15.530 6.839 6.817
6.202 13.934 8.192
3.126 10.035 3.189
10.343 1.187 1.171
17.641 5.086 6.174
8.313 15.687 8.835
1.015 11.788 3.832
10.093 8.464 3.286
17.891 12.363 8.289
8.563 8.410 6.720
0.765 4.511 1.717
11.308 5.906 2.576
16.676 9.806 7.579
7.348 10.968 7.429
1.980 7.068 2.427
13.538 9.309 0.611
14.445 13.208 5.614
5.117 7.565 9.394
4.211 3.666 4.391
14.347 16.071 9.614
13.637 12.172 4.611
4.309 0.803 0.392
5.019 4.703 5.395
13.324 7.693 0.792
14.660 11.592 5.794
5.332 9.182 9.214
3.996 5.282 4.211
14.535 8.846 4.578
13.449 12.745 9.581
4.121 8.029 5.427
5.207 4.129 0.425
13.675 9.731 3.452
14.309 13.630 8.455
4.981 7.143 6.554
4.347 3.244 1.551
13.409 8.118 3.621
14.575 12.017 8.623
5.247 8.756 6.385
4.081 4.857 1.382
15.590 6.022 3.542
12.394 9.921 8.545
3.066 10.852 6.463
6.262 6.953 1.460
14.543 5.832 2.292
13.441 9.731 7.295
4.113 11.043 7.714
5.215 7.143 2.711
16.175 5.576 2.071
11.809 9.475 7.074
2.481 11.298 7.935
6.847 7.399 2.932
17.709 9.450 3.778
10.275 13.349 8.781
0.947 7.424 6.227
8.381 3.525 1.225
16.965 8.222 4.577
11.019 12.121 9.580
1.691 8.653 5.429
7.637 4.753 0.426
18.132 7.909 3.436
9.852 11.808 8.439
0.524 8.965 6.570
8.804 5.066 1.567
17.137 16.323 9.637
10.846 12.423 4.634
1.518 0.552 0.369
7.810 4.451 5.372
18.165 7.902 0.791
9.818 11.801 5.794
0.491 8.973 9.215
8.837 5.073 4.212
17.094 6.934 0.016
10.890 10.833 5.019
1.562 9.940 9.990
7.766 6.041 4.987
16.284 1.703 0.579
11.700 5.602 5.582
2.372 15.172 9.426
6.956 11.272 4.423
15.320 2.103 1.848
12.664 6.002 6.851
3.336 14.772 8.158
5.992 10.872 3.155
16.949 1.912 2.076
11.035 5.811 7.079
1.707 14.963 7.930
7.621 11.063 2.927
14.029 8.407 0.575
13.955 12.307 5.578
4.627 8.467 9.431
4.701 4.568 4.428
14.146 8.836 3.631
13.838 12.735 8.634
4.510 8.038 6.375
4.818 4.139 1.372
15.482 6.171 2.533
12.502 10.071 7.536
3.174 10.703 7.473
6.154 6.804 2.470
17.320 8.508 3.655
10.664 12.407 8.658
1.336 8.367 6.351
7.992 4.467 1.348
17.205 7.871 0.421
10.779 11.770 5.424
1.451 9.004 9.585
7.877 5.104 4.582
16.133 1.532 1.586
11.851 5.431 6.588
2.523 15.343 8.420
6.805 11.443 3.417
```

---

(2)
A plane-wave DFT calculation with PBE-GGA was carried out for a relaxed structure of Pr2Fe14C.

Properties
M_tot = 30.61 μB per formula unit
ρ = 7.751 Mg/m³
Formation energy from the elements = 0.002 eV/atom
DFT total energy = -137.34 eV/f.u.

```
Pr2Fe14C
1.0
-2.407 8.440 -0.004
-4.689 -1.341 -7.297
-9.569 -2.725 6.650
Pr Fe C
8 56 4
Cartesian
-8.928 -0.366 -2.229
-7.737 4.740 1.578
-1.852 1.853 -1.906
-5.244 5.246 -5.396
-9.343 3.198 -1.366
-7.321 1.175 0.715
-2.732 7.046 -1.043
-4.364 0.053 -6.258
-7.129 -2.033 -0.324
-1.203 4.220 -0.002
-5.988 2.857 3.323
-2.345 -0.670 -3.648
-4.568 3.259 -2.942
-5.804 -1.653 4.034
-12.096 1.115 2.290
-3.764 -1.072 2.616
-6.710 -0.245 -4.267
-5.263 5.955 0.355
-9.472 0.193 2.706
-12.070 2.792 0.032
-9.955 4.619 3.616
-11.401 -1.581 -1.007
-7.193 4.181 -3.357
-4.595 1.582 -0.684
-6.557 1.796 -2.431
-6.109 3.717 -0.999
-8.266 -1.459 4.543
-13.968 4.246 -1.324
-10.108 2.578 1.780
-10.556 0.657 0.348
-8.399 5.833 -5.195
-2.696 0.127 0.673
-5.937 -0.417 -1.768
-7.331 5.758 -1.244
-8.906 0.749 5.205
-13.930 1.867 -1.566
-10.728 4.791 1.116
-9.333 -1.384 0.592
-7.758 3.625 -5.856
-2.734 2.507 0.915
-5.033 3.458 1.121
-8.236 1.883 -4.133
-9.646 -2.420 2.842
-13.191 5.035 0.796
-11.632 0.916 -1.773
-8.429 2.491 3.482
-7.019 6.794 -3.493
-3.473 -0.662 -1.447
-9.275 5.875 -2.778
-5.073 -0.841 0.516
-10.831 2.082 4.197
-13.086 0.226 0.191
-7.389 -1.501 2.126
-11.592 5.215 -1.168
-5.834 2.292 -4.849
-3.578 4.147 -0.843
-9.750 3.838 -4.296
-4.598 1.195 2.035
-11.608 -1.252 1.712
-12.308 3.560 2.677
-6.914 0.536 3.645
-12.067 3.178 -2.686
-5.056 5.626 -2.363
-4.356 0.814 -3.328
-10.994 4.849 -3.064
-5.671 -0.476 2.412
-3.263 4.772 -2.739
-3.833 2.327 -4.562
```

---

(3)
A plane-wave DFT calculation with PBE-GGA was carried out for a relaxed structure of LaYIn6.

Properties
ρ = 7.182 Mg/m³
Formation energy from the elements = -0.448 eV/atom
DFT total energy = -31.50 eV/f.u.

```
LaYIn6
1.0
4.753 0.000 0.000
0.000 4.753 0.000
0.000 0.000 9.380
La Y In
1 1 6
Cartesian
0.000 0.000 0.000
0.000 0.000 4.690
2.377 2.377 0.000
2.377 2.377 4.690
2.377 0.000 2.398
2.377 0.000 6.982
0.000 2.377 2.398
0.000 2.377 6.982
```

---

(4)
A plane-wave DFT calculation with PBE-GGA was carried out for a relaxed structure of Rb2Te.

Properties
ρ = 3.444 Mg/m³
Formation energy from the elements = -1.119 eV/atom
Distance to the lowest polymorph of the same formula = 19 meV per atom
DFT total energy = -8.04 eV/f.u.

```
Rb2Te
1.0
-0.105 4.564 3.283
2.304 -5.182 7.279
10.744 1.781 -2.133
Rb Te
8 4
Cartesian
4.550 1.551 5.213
8.393 -0.389 3.216
4.002 -1.322 9.190
8.941 2.484 -0.761
10.706 3.243 3.057
2.237 -2.080 5.372
8.034 0.018 7.456
4.909 1.145 0.973
7.103 3.219 2.975
5.840 -2.056 5.454
11.162 1.110 6.038
1.781 0.053 2.391
```

---

(5)
A plane-wave DFT calculation with PBE-GGA was carried out for a relaxed structure of HfP2O7.

Properties
ρ = 3.853 Mg/m³
Formation energy from the elements = -3.181 eV/atom
Distance to the lowest polymorph of the same formula = 0 meV per atom
DFT total energy = -82.42 eV/f.u.

```
HfP2O7
1.0
8.469 0.000 0.000
0.000 8.469 0.000
0.000 0.000 8.469
Hf P O
4 8 28
Cartesian
0.000 0.000 0.000
0.000 4.235 4.235
4.235 0.000 4.235
4.235 4.235 0.000
0.914 7.555 3.321
0.914 5.149 7.555
3.321 0.914 7.555
3.321 3.321 3.321
5.149 5.149 5.149
5.149 7.555 0.914
7.555 0.914 5.149
7.555 3.321 0.914
0.000 0.000 4.235
0.000 4.235 0.000
0.478 6.119 3.561
0.478 6.585 7.796
0.673 7.992 1.884
0.673 4.712 6.119
1.884 0.673 7.992
1.884 3.561 3.757
2.350 4.908 7.992
2.350 7.796 3.757
3.561 0.478 6.119
3.561 3.757 1.884
3.757 2.350 7.796
3.757 1.884 3.561
4.235 4.235 4.235
4.235 0.000 0.000
4.712 6.119 0.673
4.712 6.585 4.908
4.908 4.712 6.585
4.908 7.992 2.350
6.119 0.673 4.712
6.119 3.561 0.478
6.585 4.908 4.712
6.585 7.796 0.478
7.796 0.478 6.585
7.796 3.757 2.350
7.992 1.884 0.673
7.992 2.350 4.908
```

---

(6)
A plane-wave DFT calculation with PBE-GGA was carried out for a relaxed structure of AlSiPH9C3NCl6.

Properties
M_tot = 0.00 μB per formula unit
ρ = 1.450 Mg/m³
Formation energy from the elements = -0.740 eV/atom
DFT total energy = -104.84 eV/f.u.

```
AlSiPH9C3NCl6
1.0
9.543 6.742 -6.399
7.685 2.453 14.045
4.283 -14.021 -8.385
Al Si P H C N Cl
8 8 8 72 24 8 48
Cartesian
7.297 2.086 1.704
15.130 2.259 -0.300
14.214 -6.912 -2.442
6.381 -7.085 -0.438
13.189 -3.925 4.251
13.456 -5.797 -11.189
8.322 -0.901 -4.990
8.055 0.971 10.450
4.565 2.397 -0.151
16.560 1.028 2.428
16.946 -7.223 -0.587
4.951 -5.854 -3.167
11.064 -1.591 5.274
10.106 5.047 -3.027
10.447 -3.235 -6.013
11.405 -9.874 2.289
10.042 -9.326 -7.000
17.201 0.025 -0.338
11.469 4.500 6.261
4.310 -4.851 -0.400
11.388 -2.327 2.383
11.570 7.047 -1.336
10.123 -2.499 -3.122
9.941 -11.874 0.597
6.724 -10.936 -9.480
17.653 -0.390 4.064
14.787 6.110 8.741
3.858 -4.437 -4.802
7.147 -9.774 -8.227
17.644 -1.258 2.533
14.364 4.948 7.489
3.867 -3.568 -3.272
7.922 -9.680 -9.833
18.838 0.038 2.819
13.590 4.854 9.095
2.673 -4.864 -3.557
4.410 0.273 1.168
14.108 1.310 2.857
17.101 -5.099 -1.906
7.403 -6.137 -3.595
3.327 1.537 1.831
14.539 -0.414 2.630
18.184 -6.363 -2.570
6.972 -4.412 -3.369
2.885 0.688 0.338
14.940 0.405 4.151
18.626 -5.514 -1.077
6.571 -5.231 -4.890
6.237 1.047 -1.439
16.512 3.525 2.627
15.274 -5.874 0.701
4.999 -8.351 -3.365
4.651 1.126 -2.234
17.074 2.723 4.109
16.860 -5.952 1.495
4.437 -7.549 -4.847
5.758 2.520 -2.327
18.178 2.890 2.719
15.753 -7.346 1.589
3.333 -7.717 -3.458
9.083 -0.752 3.956
11.569 3.842 -1.362
12.428 -4.075 -4.695
9.942 -8.668 0.624
9.320 0.077 5.494
11.118 2.862 -2.757
12.191 -4.904 -6.232
10.393 -7.689 2.018
10.336 0.512 4.107
12.415 4.062 -2.920
11.175 -5.338 -4.845
9.096 -8.888 2.182
12.849 0.097 5.666
11.107 5.327 -5.287
8.662 -4.923 -6.404
10.404 -10.154 4.549
11.928 -0.274 7.140
9.799 4.125 -5.267
9.583 -4.552 -7.879
11.712 -8.951 4.529
13.190 -1.400 6.579
9.402 5.862 -5.286
8.321 -3.426 -7.317
12.109 -10.688 4.548
10.802 -3.590 6.754
11.915 -8.909 -11.057
10.709 -1.237 -7.492
9.596 4.082 10.319
9.507 -2.378 6.996
8.309 3.465 -2.501
12.004 -2.449 -7.735
13.202 -8.291 1.762
9.451 -3.452 5.587
8.498 4.633 -1.181
12.060 -1.374 -6.325
13.013 -9.460 0.442
7.564 -10.366 -9.055
17.796 -0.266 2.979
13.948 5.539 8.316
3.715 -4.561 -3.718
3.734 1.099 0.908
14.868 0.543 3.060
17.777 -5.925 -1.647
6.643 -5.370 -3.799
5.396 1.713 -1.674
17.134 2.704 3.008
16.115 -6.540 0.935
4.377 -7.530 -3.747
9.851 -0.329 4.619
11.440 3.871 -2.453
11.660 -4.497 -5.357
10.071 -8.697 1.714
12.395 -0.718 6.246
10.105 5.114 -4.891
9.116 -4.108 -6.985
11.407 -9.940 4.152
10.128 -2.887 6.243
8.475 4.530 -2.275
11.383 -1.939 -6.982
13.036 -9.356 1.537
5.905 3.204 0.876
16.474 1.107 0.560
15.606 -8.030 -1.614
5.038 -5.933 -1.299
11.921 -2.473 3.865
14.742 -7.237 -10.814
9.590 -2.353 -4.603
6.769 2.411 10.075
9.282 2.763 1.249
6.443 -3.154 4.648
12.229 -7.589 -1.988
15.068 -1.673 -5.387
7.139 0.060 1.008
14.135 3.470 1.168
14.372 -4.886 -1.747
7.376 -8.297 -1.907
6.913 2.126 3.819
13.693 0.932 -1.195
14.598 -6.953 -4.558
7.818 -5.758 0.456
11.634 -8.636 -6.029
7.532 -6.371 4.107
9.877 3.810 5.291
13.979 1.544 -4.845
8.521 -9.030 -5.721
16.495 -1.843 -0.124
12.990 4.204 4.983
5.016 -2.983 -0.614
9.747 -7.960 -8.425
9.622 -6.904 6.367
11.764 3.133 7.687
11.889 2.078 -7.106
13.482 -4.153 6.367
11.843 -6.502 -12.419
8.029 -0.673 -7.106
9.668 1.676 11.681
15.099 -3.509 3.366
4.875 -10.927 -5.830
6.412 -1.317 -4.104
16.636 6.100 5.092
12.310 -5.744 3.514
12.622 -5.189 -9.302
9.201 0.918 -4.252
8.889 0.363 8.564
11.319 -0.466 1.663
3.871 -0.303 4.593
10.192 -4.361 -2.401
17.640 -4.524 -5.332
9.533 -3.030 2.102
11.205 6.182 0.434
11.978 -1.796 -2.840
10.306 -11.008 -1.173
12.494 -3.286 1.031
6.575 -11.790 -2.888
9.017 -1.541 -1.769
14.936 6.963 2.150
```